# 1
! Ca3Bi3N5 (PBE-GGA, relaxed); values from VASP
&SYSTEM
  ibrav = 0, nat = 22, ntyp = 3
/
ATOMIC_SPECIES
Bi 208.98 Bi.upf
N 14.01 N.upf
Ca 40.08 Ca.upf
ATOMIC_POSITIONS angstrom
Bi -0.025 -4.240 3.483
N -2.904 -2.325 0.698
N -5.361 -3.576 4.612
Bi -3.630 -3.460 3.044
Ca -1.598 -3.957 6.342
Bi -0.677 -1.762 0.899
Ca -7.153 -2.646 3.066
Bi -4.850 -2.366 6.442
Bi -1.896 -0.668 4.296
Ca -2.046 -4.639 0.220
Ca 1.626 -1.482 4.275
Bi -5.502 0.112 3.858
Ca -3.929 -0.171 0.998
N 0.025 -3.863 1.236
N -2.245 -5.041 4.000
N -5.552 -0.265 6.105
N 0.613 -6.163 4.244
Ca -3.480 0.511 7.121
N -6.140 2.035 3.096
N -3.282 0.913 3.341
N -2.623 -1.803 6.643
N -0.166 -0.552 2.728
CELL_PARAMETERS angstrom
-0.754 -6.262 -1.763
3.592 -0.887 6.207
-8.364 3.021 2.897
! - SG = P-1 (2)
! - crystal system = triclinic
! - formation energy from the elements (meV/atom) = -217

---

# 2
! Na2CaNb4Bi2O15 (PBE-GGA, relaxed); values from VASP
&SYSTEM
  ibrav = 0, nat = 48, ntyp = 5
/
ATOMIC_SPECIES
O 16.00 O.upf
Nb 92.91 Nb.upf
Bi 208.98 Bi.upf
Na 22.99 Na.upf
Ca 40.08 Ca.upf
ATOMIC_POSITIONS angstrom
O 1.065 0.000 0.481
Nb 1.350 -2.103 0.260
O 4.093 3.983 3.097
Nb 1.350 2.103 0.260
O 0.368 2.087 2.127
Nb 4.113 -6.253 2.998
Bi 4.016 9.132 5.495
O 2.575 5.949 1.895
Na 1.307 -4.299 2.976
O 1.634 -8.134 0.373
O 0.368 -2.087 2.127
Ca 4.180 0.000 0.099
Nb 1.431 -6.253 0.211
O 2.928 14.722 4.333
Nb 4.194 -2.103 3.046
O 1.452 -3.983 0.311
O 3.911 8.134 3.159
O 4.480 0.000 3.268
Na 1.307 4.299 2.976
O 1.452 3.983 0.311
O 2.928 -14.722 4.333
O 2.489 -1.739 4.283
O 2.817 -10.441 1.476
O 3.056 1.739 1.497
Ca 1.364 0.000 2.885
Nb 4.194 2.103 3.046
O 2.616 -14.722 1.546
O 2.970 -5.949 4.682
Na 4.237 4.299 0.190
O 4.093 -3.983 3.097
O 3.056 -1.739 1.497
O 2.970 5.949 4.682
O 2.489 1.739 4.283
Nb 1.431 6.253 0.211
O 2.817 10.441 1.476
Nb 4.113 6.253 2.998
O 2.728 10.441 4.262
O 2.575 -5.949 1.895
O 5.177 2.087 4.913
Na 4.237 -4.299 0.190
O 2.728 -10.441 4.262
Bi 1.529 -9.132 2.709
O 3.911 -8.134 3.159
Bi 4.016 -9.132 5.495
Bi 1.529 9.132 2.709
O 1.634 8.134 0.373
O 5.177 -2.087 4.913
O 2.616 14.722 1.546
CELL_PARAMETERS angstrom
2.772 -20.794 0.000
2.772 20.794 0.000
0.000 0.000 5.572
! - SG = Cmc2_1 (36)
! - crystal system = orthorhombic
! - formation energy from the elements (meV/atom) = -2727

---

# 3
! NaCa2Nb8Bi9O36 (PBE-GGA, relaxed); values from VASP
&SYSTEM
  ibrav = 0, nat = 56, ntyp = 5
/
ATOMIC_SPECIES
O 16.00 O.upf
Bi 208.98 Bi.upf
Nb 92.91 Nb.upf
Ca 40.08 Ca.upf
Na 22.99 Na.upf
ATOMIC_POSITIONS angstrom
O -0.651 23.709 -1.684
O -0.755 10.491 -0.410
O -4.329 23.064 -0.109
O -3.256 6.549 4.124
Bi -2.103 7.538 -0.396
O -2.070 21.411 -0.501
O -4.170 8.559 -1.265
Nb -2.036 2.034 0.326
O -6.412 18.790 -1.988
Bi -3.296 5.119 2.306
O -6.194 6.138 -1.149
O -3.474 19.180 3.286
O -6.443 10.196 -0.855
Bi -3.560 20.355 1.296
O -2.564 -0.013 0.476
O -5.646 0.022 1.801
O -6.034 1.367 -0.646
O -3.610 12.776 2.435
Nb -4.463 10.378 -1.705
O -5.793 19.080 1.762
Bi -5.675 7.531 0.628
O -5.573 6.367 2.605
Nb -3.761 14.861 1.843
Bi -4.375 4.846 -1.729
O -0.829 14.762 -0.694
O -3.946 14.264 0.005
Nb -6.228 23.176 -0.235
O -2.916 2.060 -1.378
O -4.101 18.944 -0.474
Nb -4.535 14.575 -1.983
O -1.767 3.887 0.661
O -2.797 14.081 -2.550
O -4.213 8.801 2.168
O -6.451 3.823 0.919
Nb -5.862 2.031 1.167
Ca -4.227 -0.153 -1.201
Nb -2.402 23.193 -1.077
O -4.307 16.446 -1.788
O -6.754 21.348 -0.243
O -6.523 14.800 -1.160
O -3.882 6.265 0.366
O -0.267 1.503 -0.211
Nb -3.687 10.627 2.123
Na -5.940 12.600 0.384
O -5.078 12.465 -1.872
Ca -3.416 0.118 2.668
O -2.741 10.853 -2.336
Bi -2.278 17.643 -1.066
O -3.889 10.969 0.224
O -3.969 2.223 1.273
O -3.277 22.912 -2.761
Bi -5.851 17.662 -0.043
O -4.349 16.658 1.647
Bi -1.963 12.610 -0.495
O -6.418 23.589 -2.120
Bi -4.638 20.055 -2.737
CELL_PARAMETERS angstrom
-0.436 25.235 -1.673
-4.630 -0.282 -3.040
-3.120 0.254 4.647
! - SG = Pm (6)
! - crystal system = monoclinic
! - formation energy from the elements (meV/atom) = -2557

---

# 4
! Na3Ca2BiO6 (PBE-GGA, relaxed); values from VASP
&SYSTEM
  ibrav = 0, nat = 24, ntyp = 4
/
ATOMIC_SPECIES
Na 22.99 Na.upf
Ca 40.08 Ca.upf
O 16.00 O.upf
Bi 208.98 Bi.upf
ATOMIC_POSITIONS angstrom
Na -7.717 1.784 -4.331
Ca -8.818 -0.029 -1.664
O -10.702 1.358 -1.319
O -7.281 1.810 -1.872
O -7.786 1.826 -6.827
O -9.059 -0.361 -4.025
Ca -4.414 2.398 -4.665
O -12.125 -0.935 -3.810
O -14.538 0.225 -6.122
O -9.766 3.299 -4.293
Na -13.188 2.376 -6.333
O -5.663 0.453 -4.162
Bi 0.000 0.000 0.000
Na -19.637 1.178 -5.681
Na -16.412 1.777 -6.007
Ca -2.124 1.214 -2.341
O -11.181 1.012 -6.690
Ca -17.469 -0.028 -3.344
O -14.162 0.878 -1.198
Na -14.166 0.586 -3.678
O -12.816 2.737 -3.890
Bi -5.471 0.592 -2.002
O -5.278 0.732 0.158
Na -10.942 1.185 -4.005
CELL_PARAMETERS angstrom
-10.307 -2.147 -3.847
-10.509 1.497 0.841
-1.067 3.019 -5.004
! - SG = Fddd (70)
! - crystal system = orthorhombic
! - formation energy from the elements (meV/atom) = -2283
! - polymorph energy (0 for the lowest one) (meV/atom) = 0

---

# 5
! Na3Ca2BiO6 (PBE-GGA, relaxed); values from VASP
&SYSTEM
  ibrav = 0, nat = 24, ntyp = 4
/
ATOMIC_SPECIES
O 16.00 O.upf
Ca 40.08 Ca.upf
Bi 208.98 Bi.upf
Na 22.99 Na.upf
ATOMIC_POSITIONS angstrom
O 3.394 2.748 10.111
Ca 3.373 4.897 6.711
O 1.912 4.808 11.641
O 3.240 2.502 13.533
O 5.045 5.150 15.132
O 4.943 4.891 11.689
Bi 3.435 4.878 10.124
Bi 5.103 7.339 15.098
O 4.964 4.851 8.517
Na 3.421 0.042 10.102
Na 1.662 2.462 5.072
O 1.862 4.905 8.577
Ca 5.056 7.282 18.575
Na 3.418 4.832 3.282
O 3.615 7.255 13.579
Ca 3.360 4.878 13.479
Na 3.354 4.853 16.909
Na 1.731 2.426 8.306
Ca 5.102 7.360 11.730
O 5.067 9.527 15.128
O 3.528 2.465 6.582
O 3.183 7.271 6.582
O 3.403 7.004 10.070
Na 1.705 2.422 1.704
CELL_PARAMETERS angstrom
0.000 4.875 10.093
3.395 0.000 10.093
3.395 4.875 0.000
! - SG = P1 (1)
! - crystal system = triclinic
! - formation energy from the elements (meV/atom) = -2274
! - polymorph energy (0 for the lowest one) (meV/atom) = 9

---

# 6
! NaCaZrBiO6 (PBE-GGA, relaxed); values from VASP
&SYSTEM
  ibrav = 0, nat = 10, ntyp = 5
/
ATOMIC_SPECIES
O 16.00 O.upf
Ca 40.08 Ca.upf
Na 22.99 Na.upf
Zr 91.22 Zr.upf
Bi 208.98 Bi.upf
ATOMIC_POSITIONS angstrom
O -8.030 -1.876 -2.428
O -7.951 0.982 -3.116
Ca -3.272 -0.273 -1.508
O -6.912 -1.014 -5.008
O -5.137 -2.073 -2.917
O -6.175 -0.076 -1.024
Na -9.816 -0.818 -4.524
Zr -6.544 -0.545 -3.016
O -5.058 0.785 -3.604
Bi 0.000 0.000 0.000
CELL_PARAMETERS angstrom
-3.563 2.124 -4.196
-3.720 -3.610 -2.817
-5.805 0.396 0.980
! - SG = F-43m (216)
! - crystal system = cubic
! - formation energy from the elements (meV/atom) = -2472

---

# 7
! Ca2Nb2BiO8 (PBE-GGA, relaxed); values from VASP
&SYSTEM
  ibrav = 0, nat = 26, ntyp = 4
/
ATOMIC_SPECIES
O 16.00 O.upf
Ca 40.08 Ca.upf
Bi 208.98 Bi.upf
Nb 92.91 Nb.upf
ATOMIC_POSITIONS angstrom
O 0.512 16.467 2.634
Ca 1.043 14.493 4.212
Ca -1.043 14.437 1.420
O 2.633 8.668 3.135
O 2.633 11.635 5.239
O -1.081 13.945 3.617
Bi 1.173 10.151 4.187
O -0.512 3.779 2.948
O -0.968 8.848 3.389
O -0.512 16.524 5.426
O 1.081 6.302 1.966
Bi -1.173 10.095 1.396
Ca 1.043 5.809 4.162
Nb 2.328 7.673 1.352
Nb 2.328 12.517 1.439
Nb -2.328 7.729 4.144
O -2.633 11.578 2.448
O 1.081 13.888 0.825
Ca -1.043 5.753 1.371
Nb -2.328 12.573 4.230
O 0.968 11.399 2.194
O 0.512 3.722 0.157
O -0.968 11.455 4.985
O -1.081 6.358 4.758
O 0.968 8.791 0.598
O -2.633 8.612 0.343
CELL_PARAMETERS angstrom
3.308 10.067 0.000
-3.308 10.067 0.000
0.000 0.112 5.583
! - SG = C2/c (15)
! - crystal system = monoclinic
! - formation energy from the elements (meV/atom) = -2834

---

# 8
! CaNb2Bi2O9 (PBE-GGA, relaxed); values from VASP
&SYSTEM
  ibrav = 0, nat = 14, ntyp = 4
/
ATOMIC_SPECIES
Bi 208.98 Bi.upf
Nb 92.91 Nb.upf
O 16.00 O.upf
Ca 40.08 Ca.upf
ATOMIC_POSITIONS angstrom
Bi -2.736 2.525 4.064
Nb -0.976 0.900 1.449
O 0.000 0.000 0.000
O -2.018 -0.744 1.680
Nb -12.486 11.522 18.545
O -4.440 1.491 5.278
O -9.032 8.334 13.414
Ca -6.731 6.211 9.997
O -6.862 3.726 8.876
Bi -10.726 9.897 15.931
O -4.684 3.759 3.705
O -7.107 5.994 7.303
O -2.262 1.524 0.107
O -4.430 4.088 6.580
CELL_PARAMETERS angstrom
-6.487 3.943 11.571
-6.975 8.479 8.424
4.338 -7.172 -11.011
! - SG = I4/mmm (139)
! - crystal system = tetragonal
! - formation energy from the elements (meV/atom) = -2117

---

# 9
! CaBi2O4 (PBE-GGA, relaxed); values from VASP
&SYSTEM
  ibrav = 0, nat = 14, ntyp = 3
/
ATOMIC_SPECIES
O 16.00 O.upf
Bi 208.98 Bi.upf
Ca 40.08 Ca.upf
ATOMIC_POSITIONS angstrom
O 0.000 12.732 3.921
O 0.000 11.877 7.003
O 0.000 7.665 2.876
O 0.000 16.491 7.266
Bi 0.000 9.681 1.328
Ca 0.000 5.373 2.225
O 0.000 3.050 2.612
Bi 0.000 9.860 8.551
O 0.000 11.852 0.803
Ca 0.000 14.169 7.654
Bi 0.000 4.667 5.583
O 0.000 7.690 9.076
Bi 0.000 14.874 4.296
O 0.000 6.810 5.957
CELL_PARAMETERS angstrom
1.762 7.150 0.000
-1.762 7.150 0.000
0.000 5.241 9.879
! - SG = C2/m (12)
! - crystal system = monoclinic
! - formation energy from the elements (meV/atom) = -2118

---

# 10
! Ca4Bi6O13 (PBE-GGA, relaxed); values from VASP
&SYSTEM
  ibrav = 0, nat = 23, ntyp = 3
/
ATOMIC_SPECIES
O 16.00 O.upf
Ca 40.08 Ca.upf
Bi 208.98 Bi.upf
ATOMIC_POSITIONS angstrom
O -8.694 -6.640 2.761
O -9.285 -4.326 0.516
O -2.279 -1.667 0.259
Ca -6.164 -3.211 3.469
Bi -2.291 -5.790 -1.497
Bi -8.041 -2.040 0.476
O -8.050 -1.743 3.062
O -6.436 -3.328 1.004
O -1.907 -4.825 0.326
Bi -2.786 -3.231 4.630
O -5.838 -5.682 3.102
Ca -4.535 -1.668 1.110
Ca -5.697 -4.099 -1.285
O -4.706 -3.170 5.499
O -4.998 -5.853 0.175
Bi -1.011 -3.112 1.141
O -3.546 -4.317 -2.352
O -5.200 -0.854 3.389
O -7.537 -4.222 5.144
Ca -7.327 -5.644 1.071
O -3.844 -3.440 2.553
Bi -6.836 0.385 2.926
Bi -3.924 -5.658 2.149
CELL_PARAMETERS angstrom
-2.354 -4.924 -4.853
-0.916 -3.936 4.438
-8.719 1.044 3.171
! - SG = Pm (6)
! - crystal system = monoclinic
! - formation energy from the elements (meV/atom) = -2239
! - polymorph energy (0 for the lowest one) (meV/atom) = 0

---

# 11
! CaBi2O4 (PBE-GGA, relaxed); values from VASP
&SYSTEM
  ibrav = 0, nat = 14, ntyp = 3
/
ATOMIC_SPECIES
Bi 208.98 Bi.upf
Ca 40.08 Ca.upf
O 16.00 O.upf
ATOMIC_POSITIONS angstrom
Bi -2.792 2.026 0.587
Bi -1.026 4.934 -1.816
Ca -0.708 4.309 2.227
O -1.241 3.106 4.264
O -2.414 3.102 -1.525
O -5.106 1.888 -0.033
O -0.477 2.163 1.207
O -4.342 0.946 -3.090
Bi -4.558 -0.882 2.990
O -3.169 0.950 2.699
O -2.505 -0.048 -0.583
Ca -1.956 1.058 -2.670
Bi -0.835 0.968 3.257
O -3.078 4.100 1.757
CELL_PARAMETERS angstrom
-1.671 1.936 6.514
0.254 6.683 -2.060
-4.167 -4.566 -3.279
! - SG = Imma (74)
! - crystal system = orthorhombic
! - formation energy from the elements (meV/atom) = -2088

---

# 12
! CaBi2O4 (PBE-GGA, relaxed); values from VASP
&SYSTEM
  ibrav = 0, nat = 42, ntyp = 3
/
ATOMIC_SPECIES
O 16.00 O.upf
Ca 40.08 Ca.upf
Bi 208.98 Bi.upf
ATOMIC_POSITIONS angstrom
O 3.530 -0.132 7.226
O 3.530 2.038 13.137
Ca 3.530 2.038 10.773
Ca 0.000 0.000 5.048
O 5.401 -0.958 13.007
Bi 0.000 0.000 0.765
O 3.530 2.038 4.201
O 5.430 0.941 10.023
Ca 3.530 2.038 6.495
O 5.180 -2.991 7.226
Bi 5.265 1.036 14.449
Ca 3.530 2.038 17.287
O 1.867 -1.078 4.241
O 1.914 2.971 15.782
Bi 1.733 -1.001 8.701
Bi 3.530 -2.038 5.842
Bi 1.772 -3.052 2.899
O 5.146 2.971 15.782
Bi 3.530 -4.112 8.701
O 1.659 -0.958 13.007
O 3.530 -2.038 10.053
Bi 5.287 -3.052 2.899
O 0.000 0.000 15.815
O 1.879 -2.991 7.226
Bi 3.530 4.042 14.449
Bi 5.326 -1.001 8.701
O 5.193 -1.078 4.241
O 1.873 1.081 1.467
Bi 1.794 1.036 14.449
O 3.530 0.172 15.782
O 3.530 -4.198 13.007
Ca 0.000 0.000 11.536
O 3.530 -2.038 1.571
Bi 3.530 -0.009 2.899
Bi 3.530 -2.038 12.311
O 3.530 -3.958 4.241
O 5.186 1.081 1.467
O 1.630 0.941 10.023
O 3.530 4.232 10.023
Ca 3.530 -2.038 16.555
O 0.000 0.000 7.382
O 3.530 3.951 1.467
CELL_PARAMETERS angstrom
3.530 -6.114 0.000
3.530 6.114 0.000
0.000 0.000 17.310
! - SG = P3m1 (156)
! - crystal system = trigonal
! - formation energy from the elements (meV/atom) = -2058